No. 1
# Na6Hf3MgSi4S2O24 (PBE, relaxed)
data_Na6Hf3MgSi4S2O24
_chemical_formula_sum 'Na18 Hf9 Mg3 Si12 S6 O72'
_cell_length_a 9.107
_cell_length_b 9.099
_cell_length_c 22.875
_cell_angle_alpha 90.05
_cell_angle_beta 90.11
_cell_angle_gamma 119.95
_symmetry_space_group_name_H-M 'P 1'
_symmetry_Int_Tables_number 1
loop_
_symmetry_equiv_pos_as_xyz
'x,y,z'
loop_
_atom_site_label
_atom_site_type_symbol
_atom_site_fract_x
_atom_site_fract_y
_atom_site_fract_z
Na1 Na 0.992 0.353 0.753
Na2 Na 0.387 0.019 0.749
Na3 Na 0.319 0.335 0.585
Na4 Na 0.030 0.705 0.578
Na5 Na 0.656 0.962 0.587
Na6 Na 0.313 0.976 0.083
Na7 Na 0.660 0.686 0.086
Na8 Na 0.025 0.337 0.084
Na9 Na 0.331 0.295 0.921
Na10 Na 0.968 0.294 0.412
Na11 Na 0.323 0.030 0.415
Na12 Na 0.709 0.678 0.414
Na13 Na 0.001 0.993 0.492
Na14 Na 0.001 0.998 0.999
Na15 Na 0.664 0.322 0.832
Na16 Na 0.668 0.334 0.328
Na17 Na 0.334 0.666 0.165
Na18 Na 0.359 0.673 0.669
Hf1 Hf 0.005 0.016 0.854
Hf2 Hf 0.996 0.999 0.650
Hf3 Hf 0.002 0.001 0.146
Hf4 Hf 0.672 0.323 0.983
Hf5 Hf 0.656 0.337 0.479
Hf6 Hf 0.321 0.667 0.020
Hf7 Hf 0.344 0.675 0.515
Hf8 Hf 0.333 0.667 0.316
Hf9 Hf 0.339 0.671 0.815
Mg1 Mg 0.000 0.999 0.354
Mg2 Mg 0.641 0.324 0.686
Mg3 Mg 0.666 0.333 0.178
Si1 Si 0.298 0.299 0.750
Si2 Si 0.705 0.002 0.749
Si3 Si 0.373 0.038 0.585
Si4 Si 0.667 0.624 0.585
Si5 Si 0.951 0.619 0.086
Si6 Si 0.664 0.040 0.087
Si7 Si 0.381 0.337 0.084
Si8 Si 0.037 0.379 0.916
Si9 Si 0.333 0.962 0.916
Si10 Si 0.631 0.963 0.415
Si11 Si 0.328 0.373 0.416
Si12 Si 0.040 0.666 0.417
S1 S 0.295 0.003 0.252
S2 S 0.708 0.706 0.251
S3 S 0.997 0.292 0.252
S4 S 0.997 0.706 0.750
S5 S 0.957 0.334 0.585
S6 S 0.627 0.668 0.917
O1 O 0.208 0.019 0.304
O2 O 0.811 0.792 0.304
O3 O 0.982 0.190 0.304
O4 O 0.199 0.173 0.806
O5 O 0.975 0.790 0.802
O6 O 0.829 0.020 0.804
O7 O 0.792 0.970 0.690
O8 O 0.172 0.205 0.692
O9 O 0.029 0.816 0.697
O10 O 0.791 0.814 0.198
O11 O 0.022 0.208 0.198
O12 O 0.186 0.978 0.198
O13 O 0.882 0.361 0.637
O14 O 0.493 0.114 0.641
O15 O 0.637 0.503 0.639
O16 O 0.879 0.501 0.141
O17 O 0.620 0.118 0.141
O18 O 0.499 0.377 0.140
O19 O 0.455 0.296 0.024
O20 O 0.831 0.541 0.027
O21 O 0.710 0.162 0.029
O22 O 0.460 0.158 0.526
O23 O 0.704 0.545 0.525
O24 O 0.852 0.305 0.531
O25 O 0.550 0.695 0.970
O26 O 0.162 0.461 0.972
O27 O 0.311 0.847 0.974
O28 O 0.544 0.844 0.474
O29 O 0.299 0.458 0.475
O30 O 0.157 0.695 0.475
O31 O 0.134 0.630 0.362
O32 O 0.497 0.869 0.361
O33 O 0.370 0.505 0.362
O34 O 0.134 0.491 0.857
O35 O 0.359 0.870 0.858
O36 O 0.516 0.641 0.865
O37 O 0.021 0.832 0.410
O38 O 0.814 0.979 0.409
O39 O 0.165 0.187 0.409
O40 O 0.026 0.191 0.910
O41 O 0.161 0.978 0.910
O42 O 0.796 0.817 0.909
O43 O 0.976 0.178 0.589
O44 O 0.183 0.021 0.590
O45 O 0.836 0.818 0.589
O46 O 0.979 0.814 0.093
O47 O 0.836 0.020 0.094
O48 O 0.186 0.166 0.093
O49 O 0.701 0.178 0.745
O50 O 0.477 0.306 0.748
O51 O 0.854 0.536 0.743
O52 O 0.689 0.537 0.245
O53 O 0.848 0.311 0.246
O54 O 0.462 0.152 0.246
O55 O 0.636 0.511 0.921
O56 O 0.852 0.361 0.921
O57 O 0.495 0.156 0.921
O58 O 0.646 0.149 0.424
O59 O 0.503 0.361 0.422
O60 O 0.856 0.491 0.424
O61 O 0.351 0.500 0.074
O62 O 0.146 0.650 0.076
O63 O 0.505 0.848 0.074
O64 O 0.342 0.843 0.577
O65 O 0.496 0.644 0.578
O66 O 0.130 0.484 0.578
O67 O 0.306 0.843 0.255
O68 O 0.537 0.694 0.255
O69 O 0.157 0.463 0.255
O70 O 0.298 0.479 0.756
O71 O 0.157 0.697 0.755
O72 O 0.513 0.836 0.755
# * total DFT energy (no corrections): -7.1989 eV per atom
# * magnetic moment: 0.000 μB per atom
# * energy of formation: -2908 meV/atom
# * symmetry: P1 (1)



No. 2
# Na4HfMgSi2SO12 (PBE, relaxed)
data_Na4HfMgSi2SO12
_chemical_formula_sum 'Na24 Hf6 Mg6 Si12 S6 O72'
_cell_length_a 9.149
_cell_length_b 9.197
_cell_length_c 22.230
_cell_angle_alpha 89.97
_cell_angle_beta 90.00
_cell_angle_gamma 119.83
_symmetry_space_group_name_H-M 'P 1'
_symmetry_Int_Tables_number 1
loop_
_symmetry_equiv_pos_as_xyz
'x,y,z'
loop_
_atom_site_label
_atom_site_type_symbol
_atom_site_fract_x
_atom_site_fract_y
_atom_site_fract_z
Na1 Na 0.646 0.026 0.257
Na2 Na 0.360 0.345 0.240
Na3 Na 0.993 0.620 0.238
Na4 Na 0.627 0.620 0.738
Na5 Na 0.985 0.345 0.740
Na6 Na 0.380 0.026 0.757
Na7 Na 0.313 0.359 0.590
Na8 Na 0.026 0.679 0.574
Na9 Na 0.660 0.953 0.571
Na10 Na 0.293 0.953 0.071
Na11 Na 0.652 0.679 0.074
Na12 Na 0.046 0.359 0.090
Na13 Na 0.979 0.692 0.923
Na14 Na 0.693 0.012 0.907
Na15 Na 0.327 0.287 0.904
Na16 Na 0.960 0.287 0.404
Na17 Na 0.319 0.012 0.407
Na18 Na 0.713 0.692 0.423
Na19 Na 0.979 0.985 0.494
Na20 Na 0.006 0.985 0.994
Na21 Na 0.645 0.318 0.827
Na22 Na 0.673 0.318 0.327
Na23 Na 0.312 0.652 0.161
Na24 Na 0.340 0.652 0.661
Hf1 Hf 0.990 0.006 0.647
Hf2 Hf 0.016 0.006 0.147
Hf3 Hf 0.656 0.339 0.981
Hf4 Hf 0.682 0.339 0.481
Hf5 Hf 0.323 0.672 0.314
Hf6 Hf 0.349 0.672 0.814
Mg1 Mg 0.002 0.002 0.351
Mg2 Mg 0.000 0.002 0.851
Mg3 Mg 0.669 0.336 0.685
Mg4 Mg 0.667 0.336 0.185
Mg5 Mg 0.335 0.669 0.018
Mg6 Mg 0.334 0.669 0.518
Si1 Si 0.301 0.004 0.254
Si2 Si 0.000 0.295 0.253
Si3 Si 0.295 0.295 0.753
Si4 Si 0.703 0.004 0.754
Si5 Si 0.968 0.338 0.587
Si6 Si 0.667 0.629 0.586
Si7 Si 0.962 0.629 0.086
Si8 Si 0.370 0.338 0.087
Si9 Si 0.635 0.671 0.920
Si10 Si 0.333 0.962 0.919
Si11 Si 0.629 0.962 0.419
Si12 Si 0.036 0.671 0.420
S1 S 0.706 0.708 0.252
S2 S 0.002 0.708 0.752
S3 S 0.372 0.041 0.585
S4 S 0.669 0.041 0.085
S5 S 0.039 0.375 0.919
S6 S 0.336 0.375 0.419
O1 O 0.210 0.024 0.312
O2 O 0.804 0.792 0.306
O3 O 0.975 0.183 0.311
O4 O 0.208 0.183 0.811
O5 O 0.988 0.792 0.806
O6 O 0.814 0.024 0.812
O7 O 0.795 0.973 0.694
O8 O 0.177 0.196 0.692
O9 O 0.025 0.811 0.697
O10 O 0.786 0.811 0.197
O11 O 0.019 0.196 0.192
O12 O 0.178 0.973 0.194
O13 O 0.877 0.358 0.646
O14 O 0.471 0.125 0.639
O15 O 0.642 0.517 0.645
O16 O 0.875 0.517 0.145
O17 O 0.655 0.125 0.139
O18 O 0.481 0.358 0.146
O19 O 0.462 0.307 0.027
O20 O 0.844 0.530 0.026
O21 O 0.692 0.144 0.030
O22 O 0.452 0.144 0.530
O23 O 0.685 0.530 0.526
O24 O 0.845 0.307 0.527
O25 O 0.544 0.691 0.979
O26 O 0.137 0.458 0.973
O27 O 0.309 0.850 0.978
O28 O 0.541 0.850 0.478
O29 O 0.321 0.458 0.473
O30 O 0.147 0.691 0.479
O31 O 0.129 0.640 0.360
O32 O 0.511 0.863 0.359
O33 O 0.359 0.478 0.363
O34 O 0.119 0.478 0.863
O35 O 0.352 0.863 0.859
O36 O 0.511 0.640 0.860
O37 O 0.009 0.831 0.413
O38 O 0.820 0.994 0.413
O39 O 0.185 0.207 0.415
O40 O 0.022 0.207 0.915
O41 O 0.174 0.994 0.913
O42 O 0.823 0.831 0.913
O43 O 0.982 0.162 0.586
O44 O 0.199 0.022 0.588
O45 O 0.849 0.812 0.587
O46 O 0.963 0.812 0.087
O47 O 0.823 0.022 0.088
O48 O 0.180 0.162 0.086
O49 O 0.675 0.165 0.746
O50 O 0.486 0.327 0.747
O51 O 0.852 0.540 0.748
O52 O 0.688 0.540 0.248
O53 O 0.841 0.327 0.247
O54 O 0.489 0.165 0.246
O55 O 0.649 0.496 0.920
O56 O 0.866 0.355 0.921
O57 O 0.516 0.145 0.920
O58 O 0.630 0.145 0.420
O59 O 0.489 0.355 0.421
O60 O 0.847 0.496 0.420
O61 O 0.342 0.498 0.079
O62 O 0.153 0.660 0.080
O63 O 0.518 0.873 0.081
O64 O 0.355 0.873 0.581
O65 O 0.507 0.660 0.580
O66 O 0.156 0.498 0.579
O67 O 0.316 0.829 0.253
O68 O 0.533 0.689 0.254
O69 O 0.182 0.479 0.253
O70 O 0.296 0.479 0.753
O71 O 0.156 0.689 0.754
O72 O 0.513 0.829 0.753
# * total DFT energy (no corrections): -6.7372 eV per atom
# * magnetic moment: 0.000 μB per atom
# * energy of formation: -2786 meV/atom



No. 3
# HfMg6Nb (PBE, relaxed)
data_HfMg6Nb
_chemical_formula_sum 'Hf2 Mg12 Nb2'
_cell_length_a 5.073
_cell_length_b 5.920
_cell_length_c 11.396
_cell_angle_alpha 90.00
_cell_angle_beta 90.00
_cell_angle_gamma 90.00
_symmetry_space_group_name_H-M 'P 1'
_symmetry_Int_Tables_number 1
loop_
_symmetry_equiv_pos_as_xyz
'x,y,z'
loop_
_atom_site_label
_atom_site_type_symbol
_atom_site_fract_x
_atom_site_fract_y
_atom_site_fract_z
Hf1 Hf 0.500 0.500 0.172
Hf2 Hf 0.500 0.000 0.672
Mg1 Mg 0.500 0.250 0.422
Mg2 Mg 0.500 0.750 0.422
Mg3 Mg 0.000 0.755 0.085
Mg4 Mg 0.000 0.245 0.085
Mg5 Mg 0.000 0.000 0.319
Mg6 Mg 0.000 0.500 0.326
Mg7 Mg 0.500 0.750 0.922
Mg8 Mg 0.500 0.250 0.922
Mg9 Mg 0.000 0.255 0.585
Mg10 Mg 0.000 0.745 0.585
Mg11 Mg 0.000 0.500 0.819
Mg12 Mg 0.000 0.000 0.826
Nb1 Nb 0.500 0.000 0.170
Nb2 Nb 0.500 0.500 0.670
# * offset from the most stable computed form: 63 meV per atom
# * total DFT energy (no corrections): -3.4930 eV per atom
# * magnetic moment: 0.085 μB per atom
# * energy of formation: 214 meV/atom



No. 4
# HfMg6Nb (PBE, relaxed)
data_HfMg6Nb
_chemical_formula_sum 'Hf2 Mg12 Nb2'
_cell_length_a 4.963
_cell_length_b 6.181
_cell_length_c 11.270
_cell_angle_alpha 90.00
_cell_angle_beta 90.00
_cell_angle_gamma 90.00
_symmetry_space_group_name_H-M 'P 1'
_symmetry_Int_Tables_number 1
loop_
_symmetry_equiv_pos_as_xyz
'x,y,z'
loop_
_atom_site_label
_atom_site_type_symbol
_atom_site_fract_x
_atom_site_fract_y
_atom_site_fract_z
Hf1 Hf 0.500 0.500 0.196
Hf2 Hf 0.500 0.000 0.696
Mg1 Mg 0.000 0.745 0.074
Mg2 Mg 0.000 0.255 0.074
Mg3 Mg 0.000 0.000 0.329
Mg4 Mg 0.500 0.258 0.426
Mg5 Mg 0.500 0.742 0.426
Mg6 Mg 0.500 0.000 0.171
Mg7 Mg 0.000 0.245 0.574
Mg8 Mg 0.000 0.755 0.574
Mg9 Mg 0.000 0.500 0.829
Mg10 Mg 0.500 0.758 0.926
Mg11 Mg 0.500 0.242 0.926
Mg12 Mg 0.500 0.500 0.671
Nb1 Nb 0.000 0.500 0.304
Nb2 Nb 0.000 0.000 0.804
# * offset from the most stable computed form: 0 meV per atom
# * total DFT energy (no corrections): -3.5562 eV per atom
# * magnetic moment: 0.000 μB per atom
# * energy of formation: 151 meV/atom